# 1
BaCaTbBiO6 GGA-PBE optimized geometry; energy above the most stable polymorph in this dataset = 0.000 eV/atom; magnetization = 0.00 μB per formula unit; energy relative to the elements = -2.803 eV per atom; symmetry = P222 (16)
1.0
-5.106 -6.878 0.270
5.726 -4.058 4.888
-3.792 3.091 7.009
Ba Ca Tb Bi O
4 4 4 4 24
Cartesian
0.000 0.000 0.000
-1.586 -3.923 6.084
-2.553 -3.439 0.135
2.863 -2.029 2.444
0.967 -0.484 5.948
-4.449 -1.894 3.640
0.310 -5.468 2.579
-1.896 1.545 3.505
-0.813 -1.955 3.083
-0.503 -7.404 5.653
-5.213 -3.869 6.649
0.184 -2.464 8.950
-2.353 -5.894 9.078
-2.668 -0.445 6.505
2.037 -3.977 5.528
-3.362 -5.376 3.223
-5.038 -6.725 3.371
3.379 -2.354 5.999
-1.524 1.282 5.902
-3.162 -7.894 9.062
3.410 -5.293 6.495
-4.361 0.439 5.555
-4.475 -4.271 1.778
-0.919 -6.567 10.507
-3.289 0.466 8.356
-2.459 -6.486 1.613
3.019 -4.401 3.657
-3.616 -5.270 10.708
-1.622 -4.098 3.088
0.671 -5.558 4.973
-3.764 -2.179 7.190
-1.631 -3.856 9.083
0.733 -2.503 4.666
-0.849 -1.224 7.339
-2.417 -6.556 4.749
-3.813 -5.408 7.580
-2.322 -1.418 4.641
-4.206 -4.050 4.662
1.077 -3.831 7.424
-0.894 -6.393 7.607

***

# 2
KPrS2O8 GGA-PBE optimized geometry; magnetization = 0.00 μB per formula unit; energy relative to the elements = -2.539 eV per atom; symmetry = P-1 (2)
1.0
-1.328 -1.550 5.109
6.612 -2.124 1.288
2.499 7.623 3.185
K Pr S O
2 2 4 16
Cartesian
4.770 0.618 3.102
3.013 3.332 6.480
0.634 -0.076 5.037
7.150 4.025 4.545
3.792 -2.251 4.734
3.991 6.200 4.848
1.878 2.513 2.908
5.905 1.436 6.674
1.618 3.892 3.359
0.723 1.917 2.169
7.060 2.033 7.413
6.165 0.057 6.223
3.271 6.222 6.158
5.298 4.265 7.984
2.486 -0.316 1.598
4.754 1.436 7.645
3.135 -0.935 4.904
3.029 2.513 1.937
2.223 1.657 4.083
4.773 -2.495 5.845
3.011 6.445 3.737
4.648 4.884 4.678
4.513 -2.273 3.424
5.561 2.293 5.499

***

# 3
SiAg8S2O4 GGA-PBE optimized geometry; magnetization = 0.00 μB per formula unit; energy relative to the elements = -0.547 eV per atom; symmetry = I4_1/amd (141)
1.0
-4.360 -9.106 4.750
2.957 -3.738 10.088
-3.065 9.371 -5.222
Si Ag S O
2 16 4 8
Cartesian
-4.063 -3.078 3.473
0.000 0.000 0.000
-0.261 0.925 4.618
-3.854 -1.162 1.259
1.092 -1.566 5.270
-0.209 -1.917 2.215
-4.272 -4.995 5.688
1.049 0.672 7.203
0.752 -5.356 8.479
-0.845 -7.741 8.943
-2.198 -5.250 8.292
-2.155 -7.488 6.359
-1.193 -10.927 12.623
-1.901 0.777 7.015
-0.549 -1.714 7.667
-2.270 1.778 1.324
-0.557 -5.102 5.895
-1.858 -1.461 5.082
-0.080 2.582 2.704
-1.026 -9.398 10.857
-0.730 -3.371 9.581
-0.376 -3.446 3.981
-3.968 -3.334 1.838
-4.005 -1.421 3.490
-5.400 -3.734 4.202
-2.879 -3.824 4.363
-0.095 0.256 1.635
-0.166 3.976 4.849
1.773 -2.992 9.199
-3.131 -2.817 8.887

***

# 4
Sr11Si2N10 GGA-PBE optimized geometry; magnetization = 0.02 μB per formula unit; energy relative to the elements = -0.661 eV per atom; symmetry = P4_2/mnm (136)
1.0
-10.344 -5.057 -11.154
10.710 -10.817 -5.029
-1.437 -2.587 2.505
Sr Si N
22 4 20
Cartesian
-0.536 -9.230 -6.839
0.000 0.000 0.000
-2.321 -14.869 -13.686
1.250 -3.592 0.008
-2.200 -5.841 -7.294
2.565 -10.032 -8.890
1.534 -15.923 -12.564
-2.605 -2.537 -1.114
2.498 -7.126 -5.927
-2.133 -8.747 -10.256
-0.475 -11.854 -9.514
-0.596 -6.606 -4.164
-6.864 -6.009 -10.142
7.230 -9.865 -6.041
4.977 -12.909 -7.477
-6.048 -5.552 -6.201
2.992 -4.911 -3.355
-2.627 -10.963 -12.828
-5.947 -9.920 -10.655
4.876 -8.540 -3.023
-2.803 -3.325 -5.041
3.168 -12.548 -11.142
3.439 -10.317 -5.683
-4.510 -8.143 -7.995
0.069 -2.996 -3.055
0.296 -12.877 -13.128
8.133 -11.602 -4.317
-9.204 -6.859 -9.361
0.150 -6.535 -6.663
0.215 -9.338 -9.520
-3.673 -5.754 -5.048
2.602 -12.707 -8.630
7.161 -7.541 -3.681
-6.796 -8.332 -12.502
2.480 -7.437 -3.258
-3.551 -11.023 -10.420
-6.903 -3.693 -7.773
7.268 -12.180 -8.410
4.938 -10.728 -5.247
-6.009 -7.733 -8.431
0.095 -4.126 -4.207
0.270 -11.747 -11.976
1.933 -9.906 -6.121
-3.004 -8.555 -7.557
0.043 -1.861 -1.898
0.323 -14.012 -14.285

***

# 5
MgCu4As4S4 GGA-PBE optimized geometry; energy above the most stable polymorph in this dataset = 0.016 eV/atom; magnetization = 0.01 μB per formula unit; energy relative to the elements = -0.370 eV per atom; symmetry = P1 (1)
1.0
-3.371 -1.786 0.369
2.477 -4.232 2.148
-2.266 6.523 10.797
Mg Cu As S
1 4 4 4
Cartesian
-3.447 2.142 9.871
-0.632 -0.170 4.594
-0.900 -3.868 4.111
-2.403 -0.090 8.617
-0.618 1.274 11.650
-1.324 -3.552 1.745
-1.526 1.780 5.718
-1.525 -1.962 7.531
-0.414 -1.310 1.011
-2.134 -0.137 10.877
-1.736 -2.057 5.268
-1.126 0.330 2.446
-1.368 1.951 8.047

***

# 6
KTb3F12 GGA-PBE optimized geometry; magnetization = 2.00 μB per formula unit; energy relative to the elements = -3.723 eV per atom; symmetry = I4/m (87)
1.0
-4.007 4.007 3.925
4.007 -4.007 3.925
4.007 4.007 -3.925
K Tb F
1 3 12
Cartesian
0.000 0.000 0.000
4.007 0.000 1.962
0.000 0.000 3.925
0.000 4.007 1.962
0.149 1.832 2.558
1.832 -0.149 2.558
2.175 4.156 -1.367
3.859 2.175 -1.367
0.107 2.739 0.000
-1.269 3.900 3.925
5.276 0.107 0.000
3.900 1.269 3.925
0.149 1.832 5.292
1.832 -0.149 5.292
2.175 4.156 1.367
3.859 2.175 1.367

***

# 7
AlPO4 GGA-PBE optimized geometry; magnetization = 0.00 μB per formula unit; energy relative to the elements = -3.110 eV per atom; symmetry = P2_1 (4)
1.0
-3.212 -7.561 2.518
6.587 -0.338 7.388
-5.280 6.093 11.561
Al P O
10 10 40
Cartesian
-2.050 2.414 15.222
0.670 0.385 12.691
-1.508 -1.148 5.235
-1.114 -2.349 16.795
1.233 -1.328 8.328
-3.885 -2.238 13.725
-3.309 -3.919 9.351
0.942 -4.728 12.303
-0.569 -5.901 6.804
-3.571 1.216 9.732
-4.214 -2.187 16.893
-1.511 -4.265 14.318
0.299 0.324 15.772
-0.887 -5.955 9.942
-3.756 -5.785 6.912
0.809 -3.150 5.750
-5.762 -3.400 11.444
2.320 -2.024 11.227
-1.941 -1.183 8.362
-2.543 0.556 12.721
-3.305 2.546 16.410
-3.162 1.038 11.411
0.025 -4.403 6.147
-2.592 -3.419 13.625
0.163 -7.266 6.027
-2.744 -1.868 17.241
-1.022 0.528 5.154
-5.215 -2.765 12.729
2.063 -1.978 9.716
-3.919 -4.549 7.826
-0.272 -5.962 8.532
-0.453 -1.073 8.736
-2.571 -2.349 9.137
-4.444 -2.102 15.375
1.505 -0.936 11.938
1.940 0.182 7.829
-2.632 0.131 8.734
-2.113 -1.445 6.855
-0.344 -1.067 15.891
-1.228 -3.745 15.738
1.030 0.424 14.413
-0.787 1.400 15.882
-6.753 -2.409 10.814
-2.289 -5.966 6.504
-2.683 1.684 13.758
3.825 -1.807 11.456
1.929 -3.394 11.783
-0.230 -4.191 13.483
-5.276 0.863 9.519
0.163 -5.422 10.914
1.985 -5.933 13.034
-3.291 2.865 9.258
-4.614 -3.706 10.473
1.364 -2.472 7.013
-2.139 -5.057 9.984
-1.060 0.203 12.497
-3.292 -0.688 13.205
1.219 1.842 11.897
-1.348 3.964 14.864
-0.115 -2.187 4.974

***

# 8
Li4Ti3O8 GGA-PBE optimized geometry; energy above the most stable polymorph in this dataset = 0.000 eV/atom; magnetization = 0.00 μB per formula unit; energy relative to the elements = -3.028 eV per atom; symmetry = C2/m (12)
1.0
2.980 5.098 0.000
-2.980 5.098 0.000
0.000 3.521 4.868
Li Ti O
4 3 8
Cartesian
0.000 6.859 2.434
-1.490 2.549 0.000
1.490 2.549 0.000
0.000 0.000 0.000
-1.490 4.310 2.434
1.490 4.310 2.434
0.000 1.760 2.434
0.000 3.439 1.333
0.000 5.083 3.502
-1.604 7.762 3.479
-1.604 5.955 1.388
1.604 5.955 1.388
1.604 7.762 3.479
0.000 8.634 1.366
0.000 10.278 3.534

***

# 9
Ca3UO6 GGA-PBE optimized geometry; energy above the most stable polymorph in this dataset = 0.039 eV/atom; magnetization = 0.00 μB per formula unit; energy relative to the elements = -3.581 eV per atom; symmetry = P2_1 (4)
1.0
-0.289 -3.199 -5.047
5.443 -1.720 0.779
-2.654 -6.642 4.362
Ca U O
6 2 12
Cartesian
0.546 -3.762 -1.348
2.087 -6.340 3.744
1.370 -0.718 -0.135
1.234 -9.706 2.024
2.695 -6.194 0.452
-0.320 -6.763 -2.560
-0.746 -7.086 0.824
3.377 -3.025 1.559
2.061 -4.558 2.142
0.533 -5.972 -0.420
0.795 -7.414 2.165
1.647 -4.794 -3.090
-1.417 -5.351 1.813
3.927 -6.109 -1.558
-2.044 -8.190 2.091
4.428 -4.675 -4.053
-0.675 -2.775 0.355
3.203 -8.488 0.210
2.587 -3.122 -0.382
-0.122 -8.837 -0.149

***

Copy entry 6 word for word.
KTb3F12 GGA-PBE optimized geometry; magnetization = 2.00 μB per formula unit; energy relative to the elements = -3.723 eV per atom; symmetry = I4/m (87)
1.0
-4.007 4.007 3.925
4.007 -4.007 3.925
4.007 4.007 -3.925
K Tb F
1 3 12
Cartesian
0.000 0.000 0.000
4.007 0.000 1.962
0.000 0.000 3.925
0.000 4.007 1.962
0.149 1.832 2.558
1.832 -0.149 2.558
2.175 4.156 -1.367
3.859 2.175 -1.367
0.107 2.739 0.000
-1.269 3.900 3.925
5.276 0.107 0.000
3.900 1.269 3.925
0.149 1.832 5.292
1.832 -0.149 5.292
2.175 4.156 1.367
3.859 2.175 1.367

***

> Which value of energy relative to the elements does entry 8 give?

-3.028 eV per atom

***

Copy entry 3 word for word.
SiAg8S2O4 GGA-PBE optimized geometry; magnetization = 0.00 μB per formula unit; energy relative to the elements = -0.547 eV per atom; symmetry = I4_1/amd (141)
1.0
-4.360 -9.106 4.750
2.957 -3.738 10.088
-3.065 9.371 -5.222
Si Ag S O
2 16 4 8
Cartesian
-4.063 -3.078 3.473
0.000 0.000 0.000
-0.261 0.925 4.618
-3.854 -1.162 1.259
1.092 -1.566 5.270
-0.209 -1.917 2.215
-4.272 -4.995 5.688
1.049 0.672 7.203
0.752 -5.356 8.479
-0.845 -7.741 8.943
-2.198 -5.250 8.292
-2.155 -7.488 6.359
-1.193 -10.927 12.623
-1.901 0.777 7.015
-0.549 -1.714 7.667
-2.270 1.778 1.324
-0.557 -5.102 5.895
-1.858 -1.461 5.082
-0.080 2.582 2.704
-1.026 -9.398 10.857
-0.730 -3.371 9.581
-0.376 -3.446 3.981
-3.968 -3.334 1.838
-4.005 -1.421 3.490
-5.400 -3.734 4.202
-2.879 -3.824 4.363
-0.095 0.256 1.635
-0.166 3.976 4.849
1.773 -2.992 9.199
-3.131 -2.817 8.887